The following is a DFT calculation (PBE) of an optimized crystal structure of Bi5O4F7.

## Properties
* energy of formation: -2.339 eV/atom
* SG: No. 41

Structure (POSCAR):
```
Bi5O4F7
1.0
-0.0193 12.5719 7.6005
-5.5418 -11.0426 -7.9480
-2.2478 -5.9418 9.8226
F Bi O
28 20 16
Direct
0.5153 0.1713 0.3098 F
0.3952 0.8961 0.1894 F
0.1837 0.0103 0.2215 F
0.4976 0.1549 0.8063 F
0.9147 0.9149 0.2481 F
0.6837 0.5103 0.2785 F
0.4915 0.6631 0.2153 F
0.1713 0.5153 0.6902 F
0.1631 0.9915 0.7153 F
0.6713 0.0153 0.8098 F
0.1549 0.4976 0.1937 F
0.9976 0.6549 0.6937 F
0.5103 0.6837 0.7215 F
0.0153 0.6713 0.1902 F
0.2899 0.6916 0.4817 F
0.8961 0.3952 0.8106 F
0.9915 0.1631 0.2847 F
0.0103 0.1837 0.7785 F
0.7899 0.1916 0.0183 F
0.4147 0.4149 0.2519 F
0.6549 0.9976 0.3063 F
0.1916 0.7899 0.9817 F
0.4149 0.4147 0.7481 F
0.8952 0.3961 0.3106 F
0.6631 0.4915 0.7847 F
0.6916 0.2899 0.5183 F
0.9149 0.9147 0.7519 F
0.3961 0.8952 0.6894 F
0.8075 0.7082 0.1045 Bi
0.2082 0.3075 0.6045 Bi
0.3612 0.0658 0.1071 Bi
0.0266 0.5270 0.6137 Bi
0.8612 0.5658 0.3929 Bi
0.8001 0.7018 0.6068 Bi
0.7082 0.8075 0.8955 Bi
0.5270 0.0266 0.3863 Bi
0.0658 0.3612 0.8929 Bi
0.0270 0.5266 0.1137 Bi
0.3291 0.0309 0.6026 Bi
0.5266 0.0270 0.8863 Bi
0.8291 0.5309 0.8974 Bi
0.3075 0.2082 0.3955 Bi
0.7018 0.8001 0.3932 Bi
0.0309 0.3291 0.3974 Bi
0.5309 0.8291 0.1026 Bi
0.5658 0.8612 0.6071 Bi
0.2018 0.3001 0.1068 Bi
0.3001 0.2018 0.8932 Bi
0.0682 0.8673 0.4898 O
0.7867 0.1909 0.5122 O
0.0748 0.8700 0.9944 O
0.5682 0.3673 0.0102 O
0.0010 0.0010 0.5000 O
0.5748 0.3700 0.5056 O
0.6909 0.2867 0.0122 O
0.1909 0.7867 0.4878 O
0.2867 0.6909 0.9878 O
0.8673 0.0682 0.5102 O
0.3673 0.5682 0.9898 O
0.0036 0.0036 0.0000 O
0.5010 0.5010 0.0000 O
0.3700 0.5748 0.4944 O
0.5036 0.5036 0.5000 O
0.8700 0.0748 0.0056 O
```

***

The following is a DFT calculation (PBE) of an optimized crystal structure of Na10Hf4Zr4Si9S3O48.

## Properties
* energy of formation: -3.048 eV/atom
* SG: No. 1

Structure (POSCAR):
```
Na10Hf4Zr4Si9S3O48
1.0
18.2445 -0.0096 0.0232
-4.5653 7.9275 -0.0041
0.0298 0.0050 23.1338
O Hf Zr Na Si S
144 12 12 30 27 9
Direct
0.4176 0.0252 0.0882 O
0.9280 0.4986 0.4238 O
0.5646 0.6360 0.0773 O
0.2501 0.6287 0.8601 O
0.7541 0.8822 0.3568 O
0.0164 0.8258 0.6929 O
0.0836 0.9906 0.9094 O
0.8497 0.1616 0.0276 O
0.7591 0.8276 0.7567 O
0.2301 0.1485 0.5265 O
0.2494 0.3543 0.4232 O
0.3233 0.5060 0.6385 O
0.2699 0.7034 0.9712 O
0.1050 0.0209 0.3033 O
0.9185 0.8109 0.5899 O
0.5831 0.4862 0.2532 O
0.5181 0.8261 0.6940 O
0.6865 0.4958 0.3619 O
0.9857 0.1752 0.3065 O
0.0633 0.4893 0.5780 O
0.0669 0.6336 0.3629 O
0.4103 0.0264 0.8089 O
0.7484 0.8522 0.0756 O
0.7714 0.8371 0.4691 O
0.9911 0.1835 0.5910 O
0.8268 0.1509 0.4233 O
0.3254 0.5021 0.9228 O
0.9244 0.3522 0.9238 O
0.6710 0.4956 0.0768 O
0.6529 0.8321 0.9709 O
0.4039 0.8293 0.1959 O
0.0676 0.4920 0.8612 O
0.2457 0.6401 0.5784 O
0.3500 0.1595 0.0274 O
0.5930 0.1652 0.0883 O
0.0900 0.0200 0.5903 O
0.5083 0.1858 0.9108 O
0.9381 0.3578 0.6338 O
0.4863 0.1793 0.3068 O
0.6567 0.4630 0.7586 O
0.9182 0.0274 0.0892 O
0.2302 0.1516 0.2453 O
0.0085 0.1849 0.9099 O
0.5940 0.2167 0.6981 O
0.5131 0.8359 0.4106 O
0.9050 0.8308 0.1957 O
0.9097 0.7925 0.3090 O
0.9251 0.5448 0.0311 O
0.2680 0.8342 0.4696 O
0.4293 0.3080 0.5298 O
0.1035 0.1850 0.8030 O
0.1820 0.8735 0.8589 O
0.0829 0.1837 0.4090 O
0.6038 0.1833 0.8019 O
0.7644 0.7069 0.2538 O
0.5808 0.9697 0.9095 O
0.0923 0.9812 0.1986 O
0.7373 0.3174 0.0266 O
0.4274 0.4967 0.4232 O
0.0115 0.2017 0.1924 O
0.0606 0.6326 0.0779 O
0.2487 0.1402 0.9216 O
0.5840 0.1834 0.4099 O
0.8515 0.5463 0.5258 O
0.0822 0.4823 0.2535 O
0.0789 0.4581 0.9755 O
0.1861 0.4958 0.3618 O
0.3363 0.1611 0.7456 O
0.4903 0.1844 0.5899 O
0.2453 0.8505 0.0786 O
0.1553 0.8503 0.2539 O
0.3420 0.5167 0.2446 O
0.7316 0.1491 0.5266 O
0.0914 0.2056 0.6984 O
0.6684 0.8441 0.5802 O
0.7470 0.6411 0.5801 O
0.1679 0.8426 0.5786 O
0.0866 0.6949 0.7557 O
0.5860 0.6946 0.7567 O
0.4921 0.7959 0.0900 O
0.4397 0.5167 0.1334 O
0.9155 0.5188 0.7444 O
0.0791 0.6994 0.4764 O
0.3228 0.1329 0.1419 O
0.9077 0.9790 0.4095 O
0.7717 0.6943 0.9680 O
0.4099 0.2987 0.2443 O
0.4155 0.5180 0.7444 O
0.2463 0.3608 0.1374 O
0.4298 0.3632 0.9228 O
0.5626 0.4901 0.5789 O
0.8432 0.5177 0.2435 O
0.5786 0.4655 0.9764 O
0.2294 0.3113 0.0243 O
0.1503 0.8355 0.9726 O
0.6854 0.8747 0.8592 O
0.9043 0.9831 0.6959 O
0.7597 0.6401 0.8643 O
0.4080 0.7892 0.3091 O
0.6088 0.0246 0.3029 O
0.0135 0.8377 0.4099 O
0.7288 0.3025 0.7457 O
0.4026 0.9824 0.6957 O
0.4063 0.9775 0.4114 O
0.0908 0.1610 0.0896 O
0.5673 0.6335 0.3629 O
0.8955 0.8237 0.9109 O
0.5783 0.6991 0.4765 O
0.3503 0.5441 0.5255 O
0.7429 0.1288 0.6421 O
0.8361 0.1588 0.7457 O
0.2269 0.2990 0.7456 O
0.8246 0.5060 0.6385 O
0.7331 0.1542 0.2439 O
0.6460 0.4596 0.4729 O
0.9880 0.7930 0.0909 O
0.2632 0.7066 0.2537 O
0.7472 0.3607 0.1389 O
0.1670 0.4929 0.0783 O
0.2536 0.8809 0.3569 O
0.5907 0.0213 0.5891 O
0.9097 0.2971 0.2431 O
0.6586 0.8530 0.2538 O
0.7529 0.1425 0.9236 O
0.4062 0.8354 0.9100 O
0.5128 0.2075 0.1924 O
0.4301 0.5507 0.0295 O
0.9362 0.5145 0.1349 O
0.2426 0.1272 0.6417 O
0.4903 0.8019 0.8083 O
0.8237 0.5193 0.9239 O
0.5943 0.9806 0.1986 O
0.9898 0.8079 0.8052 O
0.5721 0.5017 0.8632 O
0.2574 0.8299 0.7556 O
0.7506 0.3554 0.4229 O
0.3254 0.1489 0.4236 O
0.1533 0.4582 0.7553 O
0.1458 0.4615 0.4728 O
0.4368 0.3562 0.6339 O
0.4175 0.8089 0.5887 O
0.8214 0.1336 0.1419 O
0.9090 0.0234 0.8102 O
0.9297 0.3055 0.5300 O
0.8289 0.3184 0.9814 Hf
0.8311 0.3386 0.1856 Hf
0.6682 0.6680 0.0201 Hf
0.6629 0.6736 0.8129 Hf
0.9950 0.9959 0.3515 Hf
0.9971 0.9947 0.8516 Hf
0.4962 0.9982 0.8543 Hf
0.1734 0.6763 0.5184 Hf
0.1730 0.6719 0.0175 Hf
0.9954 0.0074 0.1468 Hf
0.1653 0.6697 0.8161 Hf
0.9942 0.9824 0.6480 Hf
0.3276 0.3327 0.4817 Zr
0.8286 0.3343 0.4818 Zr
0.6749 0.6781 0.5184 Zr
0.6656 0.6525 0.3143 Zr
0.4946 0.9952 0.3516 Zr
0.3330 0.3327 0.6864 Zr
0.1643 0.6507 0.3141 Zr
0.4936 0.9833 0.6480 Zr
0.8340 0.3343 0.6868 Zr
0.3296 0.3366 0.1855 Zr
0.4963 0.0091 0.1467 Zr
0.3267 0.3184 0.9796 Zr
0.8495 0.6669 0.4158 Na
0.8519 0.0433 0.9136 Na
0.4849 0.3058 0.4145 Na
0.1772 0.6773 0.6671 Na
0.3400 0.3514 0.3315 Na
0.3214 0.9990 0.2495 Na
0.6734 0.6584 0.1678 Na
0.0070 0.0013 0.0018 Na
0.3490 0.0311 0.9157 Na
0.0179 0.7056 0.5804 Na
0.5022 0.0018 0.5012 Na
0.3489 0.6661 0.4163 Na
0.1645 0.3058 0.9197 Na
0.1837 0.9887 0.7477 Na
0.9853 0.3068 0.4142 Na
0.5165 0.3261 0.0804 Na
0.1656 0.0277 0.4188 Na
0.0022 0.0020 0.5012 Na
0.8221 0.9995 0.2495 Na
0.8457 0.3464 0.8324 Na
0.5068 0.0120 0.9986 Na
0.6656 0.0273 0.4190 Na
0.5178 0.7063 0.5800 Na
0.6838 0.9949 0.7468 Na
0.4843 0.6646 0.9137 Na
0.6778 0.6757 0.6650 Na
0.0180 0.3310 0.0802 Na
0.1728 0.6595 0.1656 Na
0.3431 0.3427 0.8321 Na
0.8401 0.3517 0.3311 Na
0.6876 0.3341 0.0828 Si
0.1616 0.9506 0.9167 Si
0.1838 0.0363 0.5849 Si
0.3297 0.6231 0.5835 Si
0.3524 0.7038 0.2499 Si
0.6660 0.9579 0.9168 Si
0.5215 0.6660 0.4181 Si
0.0221 0.6678 0.4182 Si
0.8542 0.7053 0.2498 Si
0.3123 0.6654 0.9149 Si
0.1642 0.3729 0.4182 Si
0.9990 0.2954 0.2493 Si
0.0201 0.3777 0.9177 Si
0.8304 0.0390 0.0849 Si
0.3518 0.9981 0.7517 Si
0.6846 0.0381 0.5851 Si
0.6650 0.3728 0.4181 Si
0.5235 0.3766 0.9180 Si
0.4978 0.7048 0.7516 Si
0.8532 0.9982 0.7514 Si
0.1839 0.3328 0.0827 Si
0.8135 0.9622 0.4133 Si
0.3117 0.9596 0.4142 Si
0.3290 0.0351 0.0843 Si
0.8312 0.6248 0.5841 Si
0.9997 0.7044 0.7504 Si
0.4998 0.2995 0.2497 Si
0.6465 0.0011 0.2492 S
0.1430 0.2900 0.7499 S
0.4796 0.3321 0.5831 S
0.6441 0.2919 0.7507 S
0.9802 0.3319 0.5832 S
0.8109 0.6641 0.9163 S
0.1437 0.9990 0.2495 S
0.9770 0.6231 0.0830 S
0.4798 0.6265 0.0823 S
```

***

The following is a DFT calculation (PBE) of an optimized crystal structure of NaH9Rh2C5O12.

## Properties
* energy of formation: -1.215 eV/atom
* SG: No. 14

Structure (POSCAR):
```
NaH9Rh2C5O12
1.0
-4.0507 -5.3429 -1.8343
9.0911 -6.7616 -0.3810
1.2075 0.6089 18.0075
C O H Na Rh
20 48 36 4 8
Direct
0.1374 0.3236 0.9576 C
0.0935 0.5795 0.3967 C
0.8626 0.6764 0.0424 C
0.9065 0.4205 0.6033 C
0.6046 0.0610 0.8849 C
0.3192 0.8162 0.7563 C
0.9065 0.0795 0.1033 C
0.6808 0.1838 0.2437 C
0.8110 0.6747 0.7691 C
0.0935 0.9205 0.8967 C
0.8626 0.8236 0.5424 C
0.8110 0.8253 0.2691 C
0.3954 0.5610 0.6151 C
0.1890 0.1747 0.7309 C
0.6808 0.3162 0.7437 C
0.6046 0.4390 0.3849 C
0.1890 0.3253 0.2309 C
0.3192 0.6838 0.2563 C
0.1374 0.1764 0.4576 C
0.3954 0.9390 0.1151 C
0.7069 0.6794 0.9794 O
0.9866 0.1492 0.0657 O
0.3264 0.6615 0.0151 O
0.5958 0.3825 0.7807 O
0.6246 0.5324 0.4262 O
0.2144 0.3374 0.1641 O
0.9866 0.3508 0.5657 O
0.6736 0.1615 0.4849 O
0.3754 0.4676 0.5738 O
0.4014 0.7727 0.8251 O
0.3348 0.5205 0.8486 O
0.0090 0.5350 0.3290 O
0.7856 0.8374 0.3359 O
0.0090 0.9650 0.8290 O
0.6652 0.4795 0.1514 O
0.0134 0.8508 0.9343 O
0.0723 0.0856 0.4174 O
0.5958 0.1175 0.2807 O
0.6246 0.9676 0.9262 O
0.4042 0.8825 0.7193 O
0.6736 0.3385 0.9849 O
0.0723 0.4144 0.9174 O
0.5986 0.2273 0.1749 O
0.5986 0.2727 0.6749 O
0.4042 0.6175 0.2193 O
0.3348 0.9795 0.3486 O
0.3730 0.5726 0.6822 O
0.9277 0.5856 0.0826 O
0.2063 0.2313 0.2709 O
0.2931 0.3206 0.0206 O
0.9910 0.4650 0.6710 O
0.2144 0.1626 0.6641 O
0.6270 0.4274 0.3178 O
0.7937 0.7313 0.2291 O
0.0134 0.6492 0.4343 O
0.9910 0.0350 0.1710 O
0.9277 0.9144 0.5826 O
0.4014 0.7273 0.3251 O
0.3754 0.0324 0.0738 O
0.3264 0.8385 0.5151 O
0.2063 0.2687 0.7709 O
0.2931 0.1794 0.5206 O
0.7937 0.7687 0.7291 O
0.6270 0.0726 0.8178 O
0.3730 0.9274 0.1822 O
0.7069 0.8206 0.4794 O
0.6652 0.0205 0.6514 O
0.7856 0.6626 0.8359 O
0.2539 0.9446 0.9267 H
0.0562 0.2617 0.4393 H
0.7606 0.9916 0.6246 H
0.9438 0.7383 0.5607 H
0.2394 0.0084 0.3754 H
0.8546 0.9053 0.2438 H
0.8546 0.5947 0.7438 H
0.2394 0.4916 0.8754 H
0.5547 0.1692 0.5023 H
0.3217 0.8934 0.3432 H
0.5547 0.3308 0.0023 H
0.7760 0.2832 0.0167 H
0.2240 0.7168 0.9833 H
0.7760 0.2168 0.5167 H
0.4453 0.6692 0.9977 H
0.1454 0.0947 0.7562 H
0.1576 0.7041 0.2261 H
0.2240 0.7832 0.4833 H
0.0562 0.2383 0.9393 H
0.2539 0.5554 0.4267 H
0.4374 0.6421 0.5902 H
0.8424 0.2959 0.7739 H
0.1576 0.7959 0.7261 H
0.8424 0.2041 0.2739 H
0.5626 0.1421 0.9098 H
0.7606 0.5084 0.1246 H
0.4374 0.8579 0.0902 H
0.3217 0.6066 0.8432 H
0.6783 0.3934 0.1568 H
0.5626 0.3579 0.4098 H
0.1454 0.4053 0.2562 H
0.4453 0.8308 0.4977 H
0.7461 0.0554 0.0733 H
0.6783 0.1066 0.6568 H
0.7461 0.4446 0.5733 H
0.9438 0.7617 0.0607 H
0.2790 0.9901 0.5936 Na
0.7210 0.4901 0.9064 Na
0.2790 0.5099 0.0936 Na
0.7210 0.0099 0.4064 Na
0.2922 0.4240 0.7299 Rh
0.7078 0.9240 0.7701 Rh
0.7078 0.5760 0.2701 Rh
0.7063 0.6886 0.3843 Rh
0.2922 0.0760 0.2299 Rh
0.2937 0.3114 0.6157 Rh
0.7063 0.8114 0.8843 Rh
0.2937 0.1886 0.1157 Rh
```